SiH18C4N8O4F6: relaxed, PBE.

a b c (Å): 9.3430 9.3430 17.9907
angles (deg): 90.00 90.00 90.00
Closest atoms and distances in Å follow each position.
Atoms (fractional coordinates):
Si: 0.1784 0.1784 0.0000  6 F 1.72-1.74
Si: 0.3216 0.6784 0.2500  6 F 1.72-1.74
Si: 0.6784 0.3216 0.7500  6 F 1.72-1.74
Si: 0.8216 0.8216 0.5000  6 F 1.72-1.74
H: 0.0143 0.0854 0.5955  1 N 1.02
H: 0.0261 0.4224 0.7528  1 N 1.01
H: 0.0486 0.2054 0.1647  1 N 1.02
H: 0.0764 0.3451 0.8361  1 N 1.01
H: 0.0776 0.5261 0.0028  1 N 1.01
H: 0.0825 0.9175 0.7500  2 O 1.21
H: 0.0854 0.0143 0.4045  1 N 1.02
H: 0.0999 0.7066 0.5639  1 N 1.02
H: 0.1111 0.8000 0.1363  1 N 1.03
H: 0.1147 0.3029 0.3832  1 N 1.02
H: 0.1540 0.6613 0.4393  1 N 1.02
H: 0.1549 0.5764 0.0861  1 N 1.01
H: 0.1613 0.3460 0.1893  1 N 1.02
H: 0.1644 0.1644 0.5000  2 O 1.20
H: 0.1971 0.6147 0.6332  1 N 1.02
H: 0.2000 0.8889 0.3637  1 N 1.03
H: 0.2054 0.0486 0.8353  1 N 1.02
H: 0.2066 0.4001 0.3139  1 N 1.02
H: 0.2934 0.9001 0.9361  1 N 1.02
H: 0.2946 0.5486 0.4147  1 N 1.02
H: 0.3000 0.3889 0.8863  1 N 1.03
H: 0.3029 0.1147 0.6168  1 N 1.02
H: 0.3356 0.6644 0.7500  2 O 1.20
H: 0.3387 0.8460 0.0607  1 N 1.02
H: 0.3451 0.0764 0.1639  1 N 1.01
H: 0.3460 0.1613 0.8107  1 N 1.02
H: 0.3853 0.8029 0.8668  1 N 1.02
H: 0.3889 0.3000 0.1137  1 N 1.03
H: 0.4001 0.2066 0.6861  1 N 1.02
H: 0.4146 0.5143 0.8455  1 N 1.02
H: 0.4175 0.4175 0.5000  2 O 1.21
H: 0.4224 0.0261 0.2472  1 N 1.01
H: 0.4236 0.8451 0.4139  1 N 1.01
H: 0.4514 0.7054 0.0853  1 N 1.02
H: 0.4739 0.9224 0.4972  1 N 1.01
H: 0.4857 0.5854 0.6545  1 N 1.02
H: 0.5143 0.4146 0.1545  1 N 1.02
H: 0.5261 0.0776 0.9972  1 N 1.01
H: 0.5486 0.2946 0.5853  1 N 1.02
H: 0.5764 0.1549 0.9139  1 N 1.01
H: 0.5776 0.9739 0.7472  1 N 1.01
H: 0.5825 0.5825 0.0000  2 O 1.21
H: 0.5854 0.4857 0.3455  1 N 1.02
H: 0.5999 0.7934 0.1861  1 N 1.02
H: 0.6111 0.7000 0.6137  1 N 1.03
H: 0.6147 0.1971 0.3668  1 N 1.02
H: 0.6540 0.8387 0.3107  1 N 1.02
H: 0.6549 0.9236 0.6639  1 N 1.01
H: 0.6613 0.1540 0.5607  1 N 1.02
H: 0.6644 0.3356 0.2500  2 O 1.20
H: 0.6971 0.8853 0.1168  1 N 1.02
H: 0.7000 0.6111 0.3863  1 N 1.03
H: 0.7054 0.4514 0.9147  1 N 1.02
H: 0.7066 0.0999 0.4361  1 N 1.02
H: 0.7934 0.5999 0.8139  1 N 1.02
H: 0.7946 0.9514 0.3353  1 N 1.02
H: 0.8000 0.1111 0.8637  1 N 1.03
H: 0.8029 0.3853 0.1332  1 N 1.02
H: 0.8356 0.8356 0.0000  2 O 1.20
H: 0.8387 0.6540 0.6893  1 N 1.02
H: 0.8451 0.4236 0.5861  1 N 1.01
H: 0.8460 0.3387 0.9393  1 N 1.02
H: 0.8853 0.6971 0.8832  1 N 1.02
H: 0.8889 0.2000 0.6363  1 N 1.03
H: 0.9001 0.2934 0.0639  1 N 1.02
H: 0.9146 0.9857 0.9045  1 N 1.02
H: 0.9175 0.0825 0.2500  2 O 1.21
H: 0.9224 0.4739 0.5028  1 N 1.01
H: 0.9236 0.6549 0.3361  1 N 1.01
H: 0.9514 0.7946 0.6647  1 N 1.02
H: 0.9739 0.5776 0.2528  1 N 1.01
H: 0.9857 0.9146 0.0955  1 N 1.02
C: 0.0144 0.7226 0.0419  1 O 1.30, 2 N 1.34
C: 0.0678 0.2431 0.2773  1 O 1.29, 2 N 1.34
C: 0.2226 0.4856 0.7919  1 O 1.30, 2 N 1.34
C: 0.2431 0.0678 0.7227  1 O 1.29, 2 N 1.34
C: 0.2569 0.5678 0.5273  1 O 1.29, 2 N 1.34
C: 0.2774 0.9856 0.4581  1 O 1.30, 2 N 1.34
C: 0.4322 0.7431 0.9727  1 O 1.29, 2 N 1.34
C: 0.4856 0.2226 0.2081  1 O 1.30, 2 N 1.34
C: 0.5144 0.7774 0.7081  1 O 1.30, 2 N 1.34
C: 0.5678 0.2569 0.4727  1 O 1.29, 2 N 1.34
C: 0.7226 0.0144 0.9581  1 O 1.30, 2 N 1.34
C: 0.7431 0.4322 0.0273  1 O 1.29, 2 N 1.34
C: 0.7569 0.9322 0.2227  1 O 1.29, 2 N 1.34
C: 0.7774 0.5144 0.2919  1 O 1.30, 2 N 1.34
C: 0.9322 0.7569 0.7773  1 O 1.29, 2 N 1.34
C: 0.9856 0.2774 0.5419  1 O 1.30, 2 N 1.34
N: 0.0337 0.8169 0.0968  2 H 1.02-1.03
N: 0.0904 0.2693 0.2050  2 H 1.02
N: 0.0928 0.6024 0.0419  2 H 1.01
N: 0.1024 0.4072 0.7919  2 H 1.01
N: 0.1365 0.3211 0.3284  2 H 1.02
N: 0.1789 0.6365 0.5784  2 H 1.02
N: 0.1831 0.9663 0.4032  2 H 1.02-1.03
N: 0.2307 0.5904 0.4550  2 H 1.02
N: 0.2693 0.0904 0.7950  2 H 1.02
N: 0.3169 0.4663 0.8468  2 H 1.02-1.03
N: 0.3211 0.1365 0.6716  2 H 1.02
N: 0.3635 0.8211 0.9216  2 H 1.02
N: 0.3976 0.9072 0.4581  2 H 1.01
N: 0.4072 0.1024 0.2081  2 H 1.01
N: 0.4096 0.7693 0.0450  2 H 1.02
N: 0.4663 0.3169 0.1532  2 H 1.02-1.03
N: 0.5337 0.6831 0.6532  2 H 1.02-1.03
N: 0.5904 0.2307 0.5450  2 H 1.02
N: 0.5928 0.8976 0.7081  2 H 1.01
N: 0.6024 0.0928 0.9581  2 H 1.01
N: 0.6365 0.1789 0.4216  2 H 1.02
N: 0.6789 0.8635 0.1716  2 H 1.02
N: 0.6831 0.5337 0.3468  2 H 1.02-1.03
N: 0.7307 0.9096 0.2950  2 H 1.02
N: 0.7693 0.4096 0.9550  2 H 1.02
N: 0.8169 0.0337 0.9032  2 H 1.02-1.03
N: 0.8211 0.3635 0.0784  2 H 1.02
N: 0.8635 0.6789 0.8284  2 H 1.02
N: 0.8976 0.5928 0.2919  2 H 1.01
N: 0.9072 0.3976 0.5419  2 H 1.01
N: 0.9096 0.7307 0.7050  2 H 1.02
N: 0.9663 0.1831 0.5968  2 H 1.02-1.03
O: 0.0194 0.8559 0.7991  1 H 1.21, 1 C 1.29
O: 0.0776 0.2573 0.4889  1 H 1.20, 1 C 1.30
O: 0.1441 0.9806 0.7009  1 H 1.21, 1 C 1.29
O: 0.2427 0.5776 0.7389  1 H 1.20, 1 C 1.30
O: 0.2573 0.0776 0.5111  1 H 1.20, 1 C 1.30
O: 0.3559 0.4806 0.5491  1 H 1.21, 1 C 1.29
O: 0.4224 0.7573 0.7611  1 H 1.20, 1 C 1.30
O: 0.4806 0.3559 0.4509  1 H 1.21, 1 C 1.29
O: 0.5194 0.6441 0.9509  1 H 1.21, 1 C 1.29
O: 0.5776 0.2427 0.2611  1 H 1.20, 1 C 1.30
O: 0.6441 0.5194 0.0491  1 H 1.21, 1 C 1.29
O: 0.7427 0.9224 0.0111  1 H 1.20, 1 C 1.30
O: 0.7573 0.4224 0.2389  1 H 1.20, 1 C 1.30
O: 0.8559 0.0194 0.2009  1 H 1.21, 1 C 1.29
O: 0.9224 0.7427 0.9889  1 H 1.20, 1 C 1.30
O: 0.9806 0.1441 0.2991  1 H 1.21, 1 C 1.29
F: 0.0352 0.1375 0.0567  1 Si 1.73, 1 H 1.93
F: 0.0684 0.2895 0.9479  1 Si 1.74
F: 0.1375 0.0352 0.9433  1 Si 1.73, 1 H 1.93
F: 0.1807 0.7210 0.3070  1 Si 1.72, 1 H 1.88
F: 0.2105 0.5684 0.1979  1 Si 1.74
F: 0.2210 0.3193 0.0570  1 Si 1.72, 1 H 1.88
F: 0.2790 0.8193 0.1930  1 Si 1.72, 1 H 1.88
F: 0.2895 0.0684 0.0521  1 Si 1.74
F: 0.3193 0.2210 0.9430  1 Si 1.72, 1 H 1.88
F: 0.3625 0.5352 0.3067  1 Si 1.73, 1 H 1.93
F: 0.4316 0.7895 0.3021  1 Si 1.74
F: 0.4648 0.6375 0.1933  1 Si 1.73, 1 H 1.93
F: 0.5352 0.3625 0.6933  1 Si 1.73, 1 H 1.93
F: 0.5684 0.2105 0.8021  1 Si 1.74
F: 0.6375 0.4648 0.8067  1 Si 1.73, 1 H 1.93
F: 0.6807 0.7790 0.4430  1 Si 1.72, 1 H 1.88
F: 0.7105 0.9316 0.5521  1 Si 1.74
F: 0.7210 0.1807 0.6930  1 Si 1.72, 1 H 1.88
F: 0.7790 0.6807 0.5570  1 Si 1.72, 1 H 1.88
F: 0.7895 0.4316 0.6979  1 Si 1.74
F: 0.8193 0.2790 0.8070  1 Si 1.72, 1 H 1.88
F: 0.8625 0.9648 0.4433  1 Si 1.73, 1 H 1.93
F: 0.9316 0.7105 0.4479  1 Si 1.74
F: 0.9648 0.8625 0.5567  1 Si 1.73, 1 H 1.93

Output
As for the formation energy: -1123 meV/atom. The crystal system is tetragonal. The total magnetization is 0.000 μB per atom. Its space group is P4_12_12 (92). The calculated total energy comes out at -967.68 eV for the cell shown.